Model A:
A geometry-optimized Tb2W3O12 structure, computed with PBE+U.

Lattice parameters (Å, degrees): 10.5163 10.5571 10.8077 90.00 90.00 90.00
Atoms (fractional coordinates):
Tb 0.0066 0.1881 0.0000
Tb 0.1882 0.5037 0.4750
Tb 0.3118 0.0037 0.4750
Tb 0.4934 0.6881 0.0000
Tb 0.5066 0.3119 0.0000
Tb 0.6882 0.9963 0.4750
Tb 0.8118 0.4963 0.4750
Tb 0.9934 0.8119 0.0000
W 0.0027 0.7939 0.3804
W 0.2053 0.5112 0.0946
W 0.2420 0.7562 0.7368
W 0.2580 0.2562 0.7368
W 0.2947 0.0112 0.0946
W 0.4973 0.2939 0.3804
W 0.5027 0.7061 0.3804
W 0.7053 0.9888 0.0946
W 0.7420 0.7438 0.7368
W 0.7580 0.2438 0.7368
W 0.7947 0.4888 0.0946
W 0.9973 0.2061 0.3804
O 0.0063 0.3737 0.4282
O 0.0224 0.1944 0.2154
O 0.1132 0.3832 0.0288
O 0.1197 0.1156 0.4577
O 0.1210 0.8294 0.8320
O 0.1266 0.9944 0.0476
O 0.1431 0.1803 0.8375
O 0.1536 0.6656 0.0429
O 0.1607 0.8476 0.4192
O 0.1682 0.6407 0.6361
O 0.1820 0.3755 0.6416
O 0.1929 0.5094 0.2607
O 0.3071 0.0094 0.2607
O 0.3180 0.8755 0.6416
O 0.3318 0.1407 0.6361
O 0.3393 0.3476 0.4192
O 0.3464 0.1656 0.0429
O 0.3569 0.6803 0.8375
O 0.3734 0.4944 0.0476
O 0.3790 0.3294 0.8320
O 0.3803 0.6156 0.4577
O 0.3868 0.8832 0.0288
O 0.4776 0.6944 0.2154
O 0.4937 0.8737 0.4282
O 0.5063 0.1263 0.4282
O 0.5224 0.3056 0.2154
O 0.6132 0.1168 0.0288
O 0.6197 0.3844 0.4577
O 0.6210 0.6706 0.8320
O 0.6266 0.5056 0.0476
O 0.6431 0.3197 0.8375
O 0.6536 0.8344 0.0429
O 0.6607 0.6524 0.4192
O 0.6682 0.8593 0.6361
O 0.6820 0.1245 0.6416
O 0.6929 0.9906 0.2607
O 0.8071 0.4906 0.2607
O 0.8180 0.6245 0.6416
O 0.8318 0.3593 0.6361
O 0.8393 0.1524 0.4192
O 0.8464 0.3344 0.0429
O 0.8569 0.8197 0.8375
O 0.8734 0.0056 0.0476
O 0.8790 0.1706 0.8320
O 0.8803 0.8844 0.4577
O 0.8868 0.6168 0.0288
O 0.9776 0.8056 0.2154
O 0.9937 0.6263 0.4282

Symmetry   Pba2 (32)

Model B:
A geometry-optimized Tb2W3O12 structure, computed with PBE+U.

Lattice parameters (Å, degrees): 6.9585 6.9585 11.4485 100.87 100.87 111.97
Atoms (fractional coordinates):
Tb 0.0412 0.2888 0.0941
Tb 0.2888 0.0412 0.5941
Tb 0.7112 0.9588 0.4059
Tb 0.9588 0.7112 0.9059
W 0.1319 0.8681 0.2500
W 0.2457 0.4593 0.4518
W 0.4593 0.2457 0.9518
W 0.5407 0.7543 0.0482
W 0.7543 0.5407 0.5482
W 0.8681 0.1319 0.7500
O 0.0788 0.1830 0.4635
O 0.0805 0.6606 0.1068
O 0.0939 0.4523 0.3006
O 0.1316 0.2105 0.7223
O 0.1830 0.0788 0.9635
O 0.2105 0.1316 0.2223
O 0.2311 0.6670 0.5628
O 0.3330 0.7689 0.9372
O 0.3394 0.9195 0.3932
O 0.3938 0.4720 0.0746
O 0.4523 0.0939 0.8006
O 0.4720 0.3938 0.5746
O 0.5280 0.6062 0.4254
O 0.5477 0.9061 0.1994
O 0.6062 0.5280 0.9254
O 0.6606 0.0805 0.6068
O 0.6670 0.2311 0.0628
O 0.7689 0.3330 0.4372
O 0.7895 0.8684 0.7777
O 0.8170 0.9212 0.0365
O 0.8684 0.7895 0.2777
O 0.9061 0.5477 0.6994
O 0.9195 0.3394 0.8932
O 0.9212 0.8170 0.5365

Symmetry   C2/c (15)

Model C:
A geometry-optimized Tb2W3O12 structure, computed with PBE+U.

Lattice parameters (Å, degrees): 10.1976 10.3227 17.4292 90.00 125.40 90.00
Atoms (fractional coordinates):
Tb 0.1334 0.0294 0.3817
Tb 0.1334 0.4706 0.8817
Tb 0.3626 0.0337 0.1180
Tb 0.3626 0.4663 0.6180
Tb 0.6374 0.5337 0.3820
Tb 0.6374 0.9663 0.8820
Tb 0.8666 0.5294 0.1183
Tb 0.8666 0.9706 0.6183
W 0.0258 0.7489 0.9999
W 0.0258 0.7511 0.4999
W 0.2529 0.1190 0.8568
W 0.2529 0.3810 0.3568
W 0.4649 0.6194 0.8574
W 0.4649 0.8806 0.3574
W 0.5351 0.1194 0.6426
W 0.5351 0.3806 0.1426
W 0.7471 0.6190 0.6432
W 0.7471 0.8810 0.1432
W 0.9742 0.2489 0.5001
W 0.9742 0.2511 0.0001
O 0.0039 0.6572 0.0806
O 0.0039 0.8428 0.5806
O 0.0836 0.6419 0.9422
O 0.0836 0.8581 0.4422
O 0.0873 0.0233 0.7631
O 0.0873 0.4767 0.2631
O 0.1646 0.1748 0.0878
O 0.1646 0.3252 0.5878
O 0.1781 0.6271 0.5643
O 0.1781 0.8729 0.0643
O 0.2013 0.2100 0.3352
O 0.2013 0.2900 0.8352
O 0.2874 0.0757 0.9678
O 0.2874 0.4243 0.4678
O 0.2991 0.5970 0.8672
O 0.2991 0.9030 0.3672
O 0.3497 0.0729 0.5330
O 0.3497 0.4271 0.0330
O 0.4337 0.0886 0.8628
O 0.4337 0.4114 0.3628
O 0.4341 0.5192 0.7628
O 0.4341 0.9808 0.2628
O 0.4762 0.7114 0.3335
O 0.4762 0.7886 0.8335
O 0.5238 0.2114 0.1665
O 0.5238 0.2886 0.6665
O 0.5659 0.0192 0.7372
O 0.5659 0.4808 0.2372
O 0.5663 0.5886 0.6372
O 0.5663 0.9114 0.1372
O 0.6503 0.5729 0.9670
O 0.6503 0.9271 0.4670
O 0.7009 0.0970 0.6328
O 0.7009 0.4030 0.1328
O 0.7126 0.5757 0.5322
O 0.7126 0.9243 0.0322
O 0.7987 0.7100 0.1648
O 0.7987 0.7900 0.6648
O 0.8219 0.1271 0.9357
O 0.8219 0.3729 0.4357
O 0.8354 0.6748 0.4122
O 0.8354 0.8252 0.9122
O 0.9127 0.5233 0.7369
O 0.9127 0.9767 0.2369
O 0.9164 0.1419 0.5578
O 0.9164 0.3581 0.0578
O 0.9961 0.1572 0.4194
O 0.9961 0.3428 0.9194

Symmetry   P2_1/c (14)

Energies, relative to the best one, in eV/atom: model A 0.026; model B 0.019; model C 0.000.

Model A:
A geometry-optimized Tb2WO6 structure, computed with PBE+U.

Lattice parameters (Å, degrees): 9.9323 9.9323 5.4314 104.19 104.19 68.45
Atoms (fractional coordinates):
Tb 0.0563 0.2856 0.8832
Tb 0.1059 0.8941 0.7500
Tb 0.2856 0.0563 0.3832
Tb 0.3664 0.6336 0.2500
Tb 0.6336 0.3664 0.7500
Tb 0.7144 0.9437 0.6168
Tb 0.8941 0.1059 0.2500
Tb 0.9437 0.7144 0.1168
W 0.1997 0.4944 0.5662
W 0.4944 0.1997 0.0662
W 0.5056 0.8003 0.9338
W 0.8003 0.5056 0.4338
O 0.0616 0.4733 0.2627
O 0.0758 0.1074 0.0783
O 0.1074 0.0758 0.5783
O 0.1600 0.6873 0.4208
O 0.1757 0.6198 0.8835
O 0.2160 0.3174 0.6471
O 0.3127 0.8400 0.0792
O 0.3174 0.2160 0.1471
O 0.3802 0.8243 0.6165
O 0.3881 0.4557 0.5208
O 0.4557 0.3881 0.0208
O 0.4733 0.0616 0.7627
O 0.5267 0.9384 0.2373
O 0.5443 0.6119 0.9792
O 0.6119 0.5443 0.4792
O 0.6198 0.1757 0.3835
O 0.6826 0.7840 0.8529
O 0.6873 0.1600 0.9208
O 0.7840 0.6826 0.3529
O 0.8243 0.3802 0.1165
O 0.8400 0.3127 0.5792
O 0.8926 0.9242 0.4217
O 0.9242 0.8926 0.9217
O 0.9384 0.5267 0.7373

Symmetry   C2/c (15)

Model B:
A geometry-optimized Tb2WO6 structure, computed with PBE+U.

Lattice parameters (Å, degrees): 5.3060 9.1842 10.0398 90.00 90.00 90.00
Atoms (fractional coordinates):
Tb 0.0200 0.1033 0.4652
Tb 0.0376 0.2191 0.8713
Tb 0.4624 0.7809 0.3713
Tb 0.4800 0.8967 0.9652
Tb 0.5200 0.3967 0.5348
Tb 0.5376 0.2809 0.1287
Tb 0.9624 0.7191 0.6287
Tb 0.9800 0.6033 0.0348
W 0.0395 0.4955 0.3479
W 0.4605 0.5045 0.8479
W 0.5395 0.0045 0.6521
W 0.9605 0.9955 0.1521
O 0.0844 0.8437 0.0304
O 0.1750 0.9524 0.2974
O 0.1818 0.6382 0.8191
O 0.1923 0.6400 0.2358
O 0.2306 0.1141 0.0672
O 0.2487 0.5898 0.4932
O 0.2513 0.4102 0.9932
O 0.2694 0.8859 0.5672
O 0.3077 0.3600 0.7358
O 0.3182 0.3618 0.3191
O 0.3250 0.0476 0.7974
O 0.4156 0.1563 0.5304
O 0.5844 0.6563 0.9696
O 0.6750 0.5476 0.7026
O 0.6818 0.8618 0.1809
O 0.6923 0.8600 0.7642
O 0.7306 0.3859 0.9328
O 0.7487 0.9102 0.5068
O 0.7513 0.0898 0.0068
O 0.7694 0.6141 0.4328
O 0.8077 0.1400 0.2642
O 0.8182 0.1382 0.6809
O 0.8250 0.4524 0.2026
O 0.9156 0.3437 0.4696

Symmetry   P2_12_12_1 (19)

Model C:
A geometry-optimized Tb2WO6 structure, computed with PBE+U.

Lattice parameters (Å, degrees): 5.6590 5.4226 8.2612 90.00 95.39 90.00
Atoms (fractional coordinates):
Tb 0.0132 0.0000 0.1351
Tb 0.4844 0.9426 0.8654
Tb 0.5156 0.4426 0.1346
Tb 0.9868 0.5000 0.8649
W 0.2400 0.5418 0.4777
W 0.7600 0.0418 0.5223
O 0.0131 0.7795 0.4054
O 0.2065 0.3071 0.3115
O 0.2493 0.7228 0.0270
O 0.2507 0.2177 0.9763
O 0.2890 0.6329 0.6959
O 0.4996 0.1859 0.5993
O 0.5004 0.6859 0.4007
O 0.7110 0.1329 0.3041
O 0.7493 0.7177 0.0237
O 0.7507 0.2228 0.9730
O 0.7935 0.8071 0.6885
O 0.9869 0.2795 0.5946

Symmetry   P2_1 (4)

Energies, relative to the best one, in eV/atom: model A 0.034; model B 0.000; model C 0.075.

Model A:
A geometry-optimized YTeW2O8 structure, computed with PBE+U.

Lattice parameters (Å, degrees): 5.1674 6.0634 6.6080 109.82 112.93 90.77
Atoms (fractional coordinates):
Y 0.0000 0.0000 0.0000
Te 0.5000 0.5000 0.0000
W 0.2495 0.6758 0.4990
W 0.7505 0.3242 0.5010
O 0.0065 0.6775 0.6690
O 0.0547 0.7970 0.2749
O 0.4734 0.5284 0.3232
O 0.4811 0.0799 0.2596
O 0.5189 0.9201 0.7404
O 0.5266 0.4716 0.6768
O 0.9453 0.2030 0.7251
O 0.9935 0.3225 0.3310

Symmetry   P-1 (2)

Model B:
A geometry-optimized YTeW2O8 structure, computed with PBE+U.

Lattice parameters (Å, degrees): 5.1383 6.5995 11.0003 104.91 95.14 90.75
Atoms (fractional coordinates):
Y 0.2171 0.2701 0.2748
Y 0.7829 0.7299 0.7252
Te 0.2880 0.3552 0.7507
Te 0.7120 0.6448 0.2493
W 0.2439 0.8516 0.4939
W 0.2479 0.8500 0.0020
W 0.7521 0.1500 0.9980
W 0.7561 0.1484 0.5061
O 0.0091 0.0240 0.8895
O 0.0637 0.6011 0.3655
O 0.0777 0.6323 0.8747
O 0.0799 0.0749 0.4085
O 0.3927 0.6945 0.1006
O 0.4086 0.7126 0.6011
O 0.4494 0.1282 0.6084
O 0.4565 0.1280 0.1006
O 0.5435 0.8720 0.8994
O 0.5506 0.8718 0.3916
O 0.5914 0.2874 0.3989
O 0.6073 0.3055 0.8994
O 0.9201 0.9251 0.5915
O 0.9223 0.3677 0.1253
O 0.9363 0.3989 0.6345
O 0.9909 0.9760 0.1105

Symmetry   P-1 (2)

Energies, relative to the best one, in eV/atom: model A 0.102; model B 0.000.